GaSb3 | PBE | optimized geometry

Lattice parameters (Å, degrees): 5.276 5.276 5.276 60.00 60.00 60.00
Positions (direct):
Ga1 0.000 0.000 0.000
Sb1 0.250 0.250 0.250
Sb2 0.750 0.750 0.750
Sb3 0.500 0.500 0.500

Properties
Electronic total energy ... -0.2680 Ry/atom
Volume ... 103.8 Å³/f.u.
Total magnetization ... 0.001 μB/atom
Space-group type ... Fm-3m, No. 225
Formation enthalpy at 0 K ... 0.063 eV/atom
Total energy after the MP2020 corrections ... -15.16 eV for the cell shown